[1]
NaV6O15: optimized geometry, PBE+U.

Computed properties:
Mass density   3.39 g/cm³
Total energy   -160.5 eV per formula unit
Volume   278.3 Å³ per cell
Calculated formation energy   -50.96 eV per formula unit
Space group   Cm
Offset from the most stable computed form   4.9 meV/atom

Cell and atoms, written as POSCAR:
```
NaV6O15
1.0
-6.065 -5.408 -0.607
-5.467 -5.246 2.997
-7.050 6.496 0.880
O V Na
15 6 1
Direct
0.232 0.232 0.802
0.204 0.204 0.069
0.012 0.012 0.000
0.681 0.681 0.486
0.400 0.400 0.773
0.629 0.629 0.928
0.856 0.856 0.580
0.818 0.818 0.960
0.772 0.772 0.238
0.602 0.602 0.232
0.385 0.385 0.079
0.943 0.943 0.269
0.313 0.313 0.439
0.488 0.488 0.514
0.075 0.075 0.722
0.314 0.314 0.912
0.683 0.683 0.114
0.391 0.391 0.589
0.780 0.780 0.421
0.918 0.918 0.107
0.113 0.113 0.872
0.073 0.073 0.418
```



[2]
NaV2O4: optimized geometry, PBE+U.

Computed properties:
Mass density   3.91 g/cm³
Total energy   -49.4 eV per formula unit
Volume   160.4 Å³ per cell
Calculated formation energy   -16.26 eV per formula unit
Space group   Fd-3m
Offset from the most stable computed form   108.8 meV/atom

Cell and atoms, written as POSCAR:
```
NaV2O4
1.0
0.000 4.312 4.312
4.312 0.000 4.312
4.312 4.312 0.000
V O Na
4 8 2
Direct
0.500 0.000 0.000
0.000 0.000 0.000
0.000 0.000 0.500
0.000 0.500 0.000
0.192 0.769 0.769
0.769 0.769 0.192
0.231 0.231 0.808
0.231 0.808 0.231
0.231 0.231 0.231
0.769 0.769 0.769
0.808 0.231 0.231
0.769 0.192 0.769
0.625 0.625 0.625
0.375 0.375 0.375
```